No. 1
{
  "formula": "CaCuGe2O6",
  "functional": "PBE-GGA",
  "state": "relaxed",
  "cell": [[-4.166, -5.342, -1.496], [3.988, -4.973, 2.739], [-2.432, -1.004, 4.772]],
  "species": ["O", "O", "O", "O", "O", "O", "O", "O", "O", "O", "O", "O", "Ge", "Ge", "Ge", "Ge", "Cu", "Cu", "Ca", "Ca"],
  "fractional_positions": [[0.380, 0.901, 0.339], [0.199, 0.012, 0.881], [0.801, 0.988, 0.119], [0.901, 0.380, 0.839], [0.613, 0.672, 0.975], [0.387, 0.328, 0.025], [0.672, 0.613, 0.475], [0.012, 0.199, 0.381], [0.620, 0.099, 0.661], [0.328, 0.387, 0.525], [0.099, 0.620, 0.161], [0.988, 0.801, 0.619], [0.381, 0.184, 0.788], [0.184, 0.381, 0.288], [0.816, 0.619, 0.712], [0.619, 0.816, 0.212], [0.098, 0.902, 0.250], [0.902, 0.098, 0.750], [0.699, 0.301, 0.250], [0.301, 0.699, 0.750]],
  "de_polymorph_ev_per_atom": 0.011,
  "energy_mp2020_ev_per_atom": -6.6486,
  "formation_energy_kj_per_mol_atoms": -207
}

***

No. 2
{
  "formula": "CaDy2Te4",
  "functional": "PBE-GGA",
  "state": "relaxed",
  "cell": [[-0.260, 4.276, 1.055], [-1.505, -1.855, 7.148], [6.738, -0.527, 3.796]],
  "species": ["Ca", "Te", "Te", "Te", "Te", "Dy", "Dy"],
  "fractional_positions": [[0.000, 0.500, 0.500], [0.000, 0.746, 0.762], [0.000, 0.254, 0.238], [0.500, 0.240, 0.755], [0.500, 0.760, 0.245], [0.000, 0.000, 0.000], [0.500, 0.500, 0.000]],
  "energy_mp2020_ev_per_atom": -5.1065,
  "formation_energy_kj_per_mol_atoms": -165
}

***

No. 3
{
  "formula": "Li15Bi4Pd2O20",
  "functional": "PBE-GGA",
  "state": "relaxed",
  "cell": [[-1.907, -5.022, -0.586], [7.748, -1.033, 2.204], [-3.124, 2.799, 10.402]],
  "species": ["Li", "Li", "Li", "Li", "Li", "Li", "Li", "Li", "Li", "Li", "Li", "Li", "Li", "Li", "Li", "Bi", "Bi", "Bi", "Bi", "O", "O", "O", "O", "O", "O", "O", "O", "O", "O", "O", "O", "O", "O", "O", "O", "O", "O", "O", "O", "Pd", "Pd"],
  "fractional_positions": [[0.014, 0.460, 0.391], [0.983, 0.269, 0.796], [0.465, 0.874, 0.089], [0.521, 0.227, 0.198], [0.018, 0.726, 0.199], [0.973, 0.189, 0.543], [0.513, 0.959, 0.393], [0.049, 0.628, 0.900], [0.533, 0.310, 0.463], [0.021, 0.814, 0.459], [0.526, 0.116, 0.899], [0.459, 0.697, 0.544], [0.483, 0.041, 0.619], [0.968, 0.375, 0.091], [0.991, 0.551, 0.617], [0.002, 0.093, 0.280], [0.998, 0.903, 0.720], [0.501, 0.412, 0.722], [0.503, 0.592, 0.281], [0.742, 0.935, 0.557], [0.248, 0.441, 0.558], [0.752, 0.561, 0.443], [0.269, 0.495, 0.838], [0.277, 0.604, 0.091], [0.733, 0.294, 0.640], [0.802, 0.035, 0.835], [0.771, 0.107, 0.091], [0.255, 0.160, 0.735], [0.231, 0.807, 0.629], [0.258, 0.700, 0.358], [0.251, 0.067, 0.443], [0.724, 0.394, 0.912], [0.218, 0.899, 0.914], [0.724, 0.484, 0.167], [0.800, 0.644, 0.734], [0.214, 0.981, 0.164], [0.250, 0.335, 0.255], [0.751, 0.836, 0.258], [0.759, 0.200, 0.360], [0.998, 0.005, 0.000], [0.499, 0.494, 0.001]],
  "energy_mp2020_ev_per_atom": -5.5433,
  "formation_energy_kj_per_mol_atoms": -174
}

***

No. 4
{
  "formula": "Er3Np",
  "functional": "PBE-GGA",
  "state": "relaxed",
  "cell": [[4.949, 0.000, 0.000], [0.000, 4.949, 0.000], [0.000, 0.000, 4.949]],
  "species": ["Er", "Er", "Er", "Np"],
  "fractional_positions": [[0.500, 0.000, 0.500], [0.000, 0.500, 0.500], [0.500, 0.500, 0.000], [0.000, 0.000, 0.000]],
  "formation_energy_kj_per_mol_atoms": 34
}